# 1
Below is a relaxed structure of ZnCo3O7, with properties calculated at the PBE with a Hubbard U level.

Computed properties:
SG: Pnma

Unit cell a=9.939 b=10.076 c=5.329 alpha=90.00 beta=90.00 gamma=90.00
Element x y z (fractional)
Zn 0.058 0.250 0.114
Zn 0.442 0.750 0.614
Zn 0.558 0.250 0.386
Zn 0.942 0.750 0.886
Co 0.186 0.529 0.709
Co 0.186 0.971 0.709
Co 0.234 0.750 0.205
Co 0.266 0.250 0.705
Co 0.314 0.029 0.209
Co 0.314 0.471 0.209
Co 0.686 0.529 0.791
Co 0.686 0.971 0.791
Co 0.734 0.750 0.295
Co 0.766 0.250 0.795
Co 0.814 0.029 0.291
Co 0.814 0.471 0.291
O 0.032 0.597 0.724
O 0.032 0.903 0.724
O 0.067 0.750 0.198
O 0.205 0.123 0.946
O 0.205 0.377 0.946
O 0.218 0.115 0.480
O 0.218 0.385 0.480
O 0.282 0.615 0.980
O 0.282 0.885 0.980
O 0.295 0.623 0.446
O 0.295 0.877 0.446
O 0.433 0.250 0.698
O 0.468 0.097 0.224
O 0.468 0.403 0.224
O 0.532 0.597 0.776
O 0.532 0.903 0.776
O 0.567 0.750 0.302
O 0.705 0.123 0.554
O 0.705 0.377 0.554
O 0.718 0.115 0.020
O 0.718 0.385 0.020
O 0.782 0.615 0.520
O 0.782 0.885 0.520
O 0.795 0.623 0.054
O 0.795 0.877 0.054
O 0.933 0.250 0.802
O 0.968 0.097 0.276
O 0.968 0.403 0.276



# 2
Below is a relaxed structure of ZnCo2O4, with properties calculated at the PBE with a Hubbard U level.

Computed properties:
SG: Cm

Unit cell a=5.868 b=5.868 c=19.339 alpha=98.93 beta=98.93 gamma=59.43
Element x y z (fractional)
Zn 0.000 0.000 0.000
Zn 0.225 0.225 0.156
Zn 0.250 0.250 0.750
Zn 0.376 0.376 0.625
Zn 0.474 0.474 0.905
Zn 0.500 0.500 0.499
Zn 0.625 0.625 0.374
Zn 0.750 0.750 0.249
Co 0.001 0.500 0.000
Co 0.001 0.501 0.499
Co 0.028 0.028 0.592
Co 0.126 0.126 0.875
Co 0.247 0.752 0.248
Co 0.249 0.754 0.751
Co 0.278 0.278 0.341
Co 0.500 0.001 0.000
Co 0.501 0.001 0.499
Co 0.529 0.529 0.093
Co 0.723 0.723 0.657
Co 0.752 0.247 0.248
Co 0.754 0.249 0.751
Co 0.778 0.778 0.844
Co 0.876 0.876 0.124
Co 0.973 0.973 0.407
O 0.046 0.046 0.190
O 0.056 0.056 0.693
O 0.056 0.605 0.188
O 0.080 0.576 0.692
O 0.152 0.689 0.062
O 0.179 0.669 0.557
O 0.192 0.192 0.555
O 0.194 0.194 0.052
O 0.297 0.297 0.940
O 0.304 0.304 0.443
O 0.309 0.853 0.939
O 0.333 0.822 0.442
O 0.401 0.941 0.812
O 0.427 0.920 0.306
O 0.440 0.440 0.304
O 0.444 0.444 0.802
O 0.554 0.554 0.196
O 0.561 0.561 0.695
O 0.576 0.080 0.692
O 0.605 0.056 0.188
O 0.669 0.179 0.557
O 0.689 0.152 0.062
O 0.697 0.697 0.556
O 0.704 0.704 0.059
O 0.805 0.805 0.946
O 0.809 0.809 0.444
O 0.822 0.333 0.442
O 0.853 0.309 0.939
O 0.920 0.427 0.306
O 0.941 0.401 0.812
O 0.947 0.947 0.307
O 0.955 0.955 0.810



# 3
Below is a relaxed structure of ZnCo2O4, with properties calculated at the PBE with a Hubbard U level.

Computed properties:
SG: P3m1

Unit cell a=5.953 b=5.953 c=14.706 alpha=90.00 beta=90.00 gamma=120.00
Element x y z (fractional)
Zn 0.000 0.000 0.000
Zn 0.000 0.000 0.248
Zn 0.000 0.000 0.625
Zn 0.333 0.667 0.581
Zn 0.667 0.333 0.291
Zn 0.667 0.333 0.916
Co 0.166 0.333 0.792
Co 0.166 0.834 0.792
Co 0.332 0.166 0.458
Co 0.333 0.667 0.335
Co 0.333 0.667 0.960
Co 0.501 0.001 0.124
Co 0.501 0.499 0.124
Co 0.667 0.333 0.668
Co 0.667 0.834 0.792
Co 0.834 0.166 0.458
Co 0.834 0.668 0.458
Co 0.999 0.499 0.124
O 0.000 0.000 0.382
O 0.000 0.000 0.865
O 0.036 0.518 0.874
O 0.155 0.310 0.532
O 0.155 0.845 0.532
O 0.180 0.361 0.046
O 0.180 0.820 0.046
O 0.312 0.156 0.718
O 0.333 0.667 0.200
O 0.333 0.667 0.718
O 0.352 0.176 0.197
O 0.482 0.518 0.874
O 0.482 0.964 0.874
O 0.510 0.020 0.383
O 0.510 0.490 0.383
O 0.639 0.820 0.046
O 0.667 0.333 0.050
O 0.667 0.333 0.534
O 0.690 0.845 0.532
O 0.824 0.176 0.197
O 0.824 0.648 0.197
O 0.844 0.156 0.718
O 0.844 0.688 0.718
O 0.980 0.490 0.383



# 4
Below is a relaxed structure of ZnCo3O7, with properties calculated at the PBE with a Hubbard U level.

Computed properties:
SG: P2_1/c

Unit cell a=6.542 b=13.693 c=11.573 alpha=90.00 beta=103.48 gamma=90.00
Element x y z (fractional)
Zn 0.077 0.010 0.264
Zn 0.077 0.490 0.764
Zn 0.313 0.115 0.925
Zn 0.313 0.385 0.425
Zn 0.687 0.615 0.575
Zn 0.687 0.885 0.075
Zn 0.923 0.510 0.236
Zn 0.923 0.990 0.736
Co 0.006 0.736 0.255
Co 0.006 0.764 0.755
Co 0.120 0.145 0.517
Co 0.120 0.355 0.017
Co 0.169 0.612 0.508
Co 0.169 0.888 0.008
Co 0.369 0.679 0.923
Co 0.369 0.821 0.423
Co 0.407 0.513 0.179
Co 0.407 0.987 0.679
Co 0.500 0.207 0.296
Co 0.500 0.293 0.796
Co 0.500 0.707 0.204
Co 0.500 0.793 0.704
Co 0.593 0.013 0.321
Co 0.593 0.487 0.821
Co 0.631 0.179 0.577
Co 0.631 0.321 0.077
Co 0.831 0.112 0.992
Co 0.831 0.388 0.492
Co 0.880 0.645 0.983
Co 0.880 0.855 0.483
Co 0.994 0.236 0.245
Co 0.994 0.264 0.745
O 0.007 0.646 0.605
O 0.007 0.854 0.105
O 0.010 0.623 0.359
O 0.010 0.877 0.859
O 0.021 0.135 0.360
O 0.021 0.365 0.860
O 0.068 0.670 0.890
O 0.068 0.830 0.390
O 0.216 0.029 0.548
O 0.216 0.471 0.048
O 0.249 0.020 0.773
O 0.249 0.480 0.273
O 0.264 0.222 0.793
O 0.264 0.278 0.293
O 0.279 0.003 0.028
O 0.279 0.497 0.528
O 0.303 0.749 0.281
O 0.303 0.751 0.781
O 0.348 0.213 0.560
O 0.348 0.287 0.060
O 0.351 0.559 0.836
O 0.351 0.941 0.336
O 0.401 0.690 0.531
O 0.401 0.810 0.031
O 0.408 0.093 0.219
O 0.408 0.407 0.719
O 0.417 0.625 0.075
O 0.417 0.875 0.575
O 0.583 0.125 0.425
O 0.583 0.375 0.925
O 0.592 0.593 0.281
O 0.592 0.907 0.781
O 0.599 0.190 0.969
O 0.599 0.310 0.469
O 0.649 0.059 0.664
O 0.649 0.441 0.164
O 0.652 0.713 0.940
O 0.652 0.787 0.440
O 0.697 0.249 0.219
O 0.697 0.251 0.719
O 0.721 0.503 0.472
O 0.721 0.997 0.972
O 0.736 0.722 0.707
O 0.736 0.778 0.207
O 0.751 0.520 0.727
O 0.751 0.980 0.227
O 0.784 0.529 0.952
O 0.784 0.971 0.452
O 0.932 0.170 0.610
O 0.932 0.330 0.110
O 0.979 0.635 0.140
O 0.979 0.865 0.640
O 0.990 0.123 0.141
O 0.990 0.377 0.641
O 0.993 0.146 0.895
O 0.993 0.354 0.395



# 5
Below is a relaxed structure of ZnCo2O4, with properties calculated at the PBE with a Hubbard U level.

Computed properties:
SG: Cm

Unit cell a=5.862 b=5.862 c=14.246 alpha=90.29 beta=90.29 gamma=59.38
Element x y z (fractional)
Zn 0.000 0.000 0.000
Zn 0.334 0.334 0.333
Zn 0.500 0.500 0.499
Zn 0.507 0.507 0.125
Zn 0.667 0.667 0.667
Zn 0.833 0.833 0.835
Co 0.002 0.496 0.002
Co 0.162 0.162 0.544
Co 0.167 0.167 0.166
Co 0.168 0.667 0.667
Co 0.171 0.171 0.789
Co 0.333 0.836 0.332
Co 0.495 0.495 0.879
Co 0.496 0.002 0.002
Co 0.667 0.168 0.667
Co 0.828 0.828 0.208
Co 0.836 0.333 0.332
Co 0.838 0.838 0.456
O 0.009 0.518 0.744
O 0.016 0.016 0.252
O 0.150 0.657 0.925
O 0.159 0.159 0.408
O 0.178 0.178 0.924
O 0.182 0.680 0.409
O 0.315 0.315 0.080
O 0.325 0.816 0.590
O 0.326 0.874 0.082
O 0.340 0.340 0.593
O 0.469 0.998 0.249
O 0.489 0.489 0.743
O 0.509 0.509 0.263
O 0.518 0.009 0.744
O 0.657 0.150 0.925
O 0.662 0.662 0.406
O 0.672 0.672 0.929
O 0.680 0.182 0.409
O 0.816 0.325 0.590
O 0.820 0.820 0.076
O 0.845 0.845 0.591
O 0.874 0.326 0.082
O 0.994 0.994 0.741
O 0.998 0.469 0.249



Number 1: excess energy over the best structure of this formula in the dataset 0.000 eV per formula unit, total magnetic moment 0.636 μB/atom. Number 2: excess energy over the best structure of this formula in the dataset 0.276 eV per formula unit, total magnetic moment 0.400 μB/atom. Number 3: excess energy over the best structure of this formula in the dataset 0.228 eV per formula unit, total magnetic moment 0.191 μB/atom. Number 4: excess energy over the best structure of this formula in the dataset 0.182 eV per formula unit, total magnetic moment 0.364 μB/atom. Number 5: excess energy over the best structure of this formula in the dataset 0.366 eV per formula unit, total magnetic moment 0.476 μB/atom.